First-principles (PBE) data for an optimized crystal structure of Na2RhS2O11, as listed in Materials Project.

For the formation energy from the elements, the calculation gives -1207 meV/atom.

Unit cell a=10.1781 b=7.5868 c=14.5732 alpha=90.00 beta=120.85 gamma=90.00
Space group P2_1/c (No. 14)
Inequivalent atoms, fractional coordinates:
Na1 0.1595 0.1419 0.1814 (multiplicity 4)
Na2 0.2526 0.0237 0.4817 (multiplicity 4)
Rh1 0.4640 0.0975 0.9149 (multiplicity 4)
S1 0.2031 0.0645 0.9715 (multiplicity 4)
S2 0.3896 0.6954 0.8672 (multiplicity 4)
O1 0.0599 0.0059 0.6341 (multiplicity 4)
O2 0.1027 0.5724 0.4001 (multiplicity 4)
O3 0.1280 0.1918 0.0058 (multiplicity 4)
O4 0.1312 0.5866 0.1046 (multiplicity 4)
O5 0.2536 0.5854 0.8058 (multiplicity 4)
O6 0.2694 0.1765 0.9157 (multiplicity 4)
O7 0.3361 0.5135 0.5739 (multiplicity 4)
O8 0.3488 0.6180 0.3224 (multiplicity 4)
O9 0.4114 0.2377 0.7960 (multiplicity 4)
O10 0.4123 0.7020 0.9811 (multiplicity 4)
O11 0.4728 0.1314 0.6278 (multiplicity 4)